Entry 1:
## Na6Zn4In4SiS11O48 (PBE-GGA)

Data for an optimized crystal structure of Na6Zn4In4SiS11O48.

abc: 8.861 15.319 23.052
angles: 89.63 89.79 90.00
Element x y z (fractional)
Na  0.000  0.000  0.000
Na  0.000  0.003  0.494
Na  0.005  0.328  0.326
Na  0.011  0.668  0.658
Na  0.138  0.509  0.744
Na  0.168  0.185  0.745
Na  0.188  0.813  0.746
Na  0.323  0.684  0.248
Na  0.500  0.168  0.165
Na  0.500  0.502  0.494
Na  0.500  0.833  0.832
Na  0.501  0.506  0.996
Na  0.511  0.836  0.326
Na  0.524  0.167  0.659
Na  0.673  0.686  0.749
Na  0.861  0.507  0.241
Na  0.982  0.675  0.159
Na  0.986  0.330  0.830
Zn  0.001  0.669  0.510
Zn  0.002  0.328  0.173
Zn  0.002  0.339  0.981
Zn  0.017  0.669  0.818
Zn  0.498  0.168  0.312
Zn  0.499  0.832  0.675
Zn  0.501  0.169  0.510
Zn  0.503  0.833  0.980
Zn  0.980  0.675  0.312
Zn  0.981  0.326  0.676
Zn  0.998  0.004  0.144
Zn  0.998  0.670  0.011
In  0.000  0.336  0.478
In  0.001  0.005  0.344
In  0.495  0.505  0.644
In  0.498  0.836  0.477
In  0.499  0.510  0.848
In  0.502  0.170  0.014
In  0.502  0.505  0.345
In  0.509  0.505  0.143
In  0.511  0.837  0.177
In  0.518  0.169  0.812
In  0.991  0.006  0.643
In  0.996  0.006  0.846
Si  0.349  0.654  0.744
Si  0.652  0.653  0.245
Si  0.852  0.154  0.744
S  0.143  0.520  0.913
S  0.144  0.483  0.579
S  0.146  0.857  0.243
S  0.149  0.151  0.243
S  0.150  0.818  0.912
S  0.155  0.189  0.578
S  0.201  0.836  0.579
S  0.203  0.500  0.245
S  0.207  0.171  0.911
S  0.289  0.669  0.412
S  0.292  0.337  0.078
S  0.297  0.002  0.744
S  0.348  0.689  0.076
S  0.351  0.982  0.077
S  0.353  0.355  0.745
S  0.355  0.025  0.412
S  0.357  0.315  0.411
S  0.643  0.983  0.578
S  0.645  0.017  0.914
S  0.650  0.351  0.245
S  0.652  0.320  0.913
S  0.654  0.689  0.578
S  0.702  0.336  0.578
S  0.707  0.006  0.244
S  0.711  0.671  0.912
S  0.790  0.170  0.411
S  0.798  0.502  0.745
S  0.800  0.837  0.075
S  0.851  0.854  0.745
S  0.856  0.816  0.413
S  0.857  0.189  0.078
S  0.857  0.523  0.412
S  0.858  0.482  0.078
O  0.074  0.432  0.918
O  0.076  0.571  0.573
O  0.077  0.907  0.907
O  0.078  0.239  0.237
O  0.079  0.898  0.192
O  0.081  0.115  0.298
O  0.081  0.775  0.962
O  0.083  0.229  0.526
O  0.085  0.100  0.581
O  0.085  0.442  0.633
O  0.085  0.767  0.250
O  0.086  0.557  0.857
O  0.098  0.424  0.238
O  0.106  0.916  0.583
O  0.107  0.757  0.573
O  0.111  0.249  0.917
O  0.114  0.576  0.963
O  0.114  0.581  0.251
O  0.115  0.089  0.909
O  0.117  0.430  0.527
O  0.120  0.096  0.192
O  0.122  0.908  0.298
O  0.123  0.770  0.856
O  0.126  0.239  0.631
O  0.165  0.663  0.751
O  0.183  0.680  0.070
O  0.186  0.014  0.407
O  0.186  0.992  0.084
O  0.187  0.325  0.416
O  0.187  0.352  0.738
O  0.195  0.660  0.464
O  0.202  0.325  0.131
O  0.203  0.348  0.025
O  0.203  0.680  0.357
O  0.204  0.017  0.692
O  0.204  0.982  0.797
O  0.293  0.825  0.633
O  0.294  0.482  0.297
O  0.296  0.851  0.527
O  0.297  0.182  0.856
O  0.298  0.515  0.192
O  0.306  0.158  0.962
O  0.313  0.510  0.909
O  0.314  0.490  0.581
O  0.314  0.848  0.238
O  0.316  0.159  0.250
O  0.316  0.827  0.917
O  0.320  0.181  0.571
O  0.363  0.588  0.689
O  0.373  0.738  0.132
O  0.382  0.075  0.464
O  0.382  0.085  0.751
O  0.382  0.408  0.797
O  0.383  0.930  0.025
O  0.384  0.264  0.359
O  0.386  0.589  0.410
O  0.389  0.749  0.416
O  0.391  0.257  0.074
O  0.392  0.416  0.083
O  0.396  0.925  0.737
O  0.410  0.264  0.751
O  0.418  0.064  0.359
O  0.418  0.276  0.464
O  0.419  0.732  0.026
O  0.419  0.945  0.131
O  0.420  0.600  0.080
O  0.423  0.071  0.073
O  0.424  0.935  0.416
O  0.425  0.405  0.407
O  0.427  0.390  0.692
O  0.428  0.750  0.737
O  0.442  0.614  0.799
O  0.561  0.613  0.302
O  0.562  0.747  0.240
O  0.575  0.071  0.572
O  0.575  0.931  0.920
O  0.578  0.389  0.192
O  0.578  0.407  0.907
O  0.580  0.056  0.860
O  0.580  0.279  0.965
O  0.582  0.264  0.253
O  0.582  0.940  0.631
O  0.583  0.600  0.581
O  0.583  0.729  0.526
O  0.606  0.416  0.583
O  0.607  0.257  0.572
O  0.608  0.927  0.240
O  0.612  0.085  0.251
O  0.612  0.749  0.916
O  0.616  0.589  0.910
O  0.618  0.930  0.525
O  0.620  0.075  0.965
O  0.625  0.268  0.860
O  0.625  0.738  0.632
O  0.628  0.407  0.297
O  0.635  0.589  0.189
O  0.669  0.162  0.747
O  0.686  0.826  0.417
O  0.686  0.847  0.737
O  0.687  0.181  0.074
O  0.688  0.489  0.079
O  0.688  0.511  0.410
O  0.700  0.181  0.359
O  0.701  0.158  0.465
O  0.702  0.850  0.025
O  0.703  0.517  0.692
O  0.705  0.483  0.797
O  0.711  0.821  0.130
O  0.794  0.351  0.525
O  0.795  0.325  0.630
O  0.796  0.989  0.298
O  0.797  0.681  0.856
O  0.802  0.017  0.192
O  0.808  0.660  0.963
O  0.812  0.989  0.580
O  0.813  0.010  0.909
O  0.817  0.327  0.919
O  0.817  0.347  0.238
O  0.820  0.681  0.571
O  0.836  0.656  0.251
O  0.874  0.094  0.687
O  0.878  0.906  0.797
O  0.879  0.242  0.130
O  0.882  0.766  0.360
O  0.886  0.575  0.464
O  0.886  0.584  0.751
O  0.888  0.428  0.027
O  0.890  0.090  0.407
O  0.891  0.249  0.416
O  0.894  0.917  0.082
O  0.895  0.757  0.070
O  0.903  0.428  0.738
O  0.916  0.443  0.133
O  0.917  0.765  0.751
O  0.918  0.560  0.358
O  0.918  0.776  0.465
O  0.919  0.230  0.025
O  0.925  0.101  0.084
O  0.925  0.571  0.072
O  0.925  0.906  0.408
O  0.927  0.433  0.417
O  0.930  0.891  0.693
O  0.940  0.248  0.740
O  0.941  0.114  0.801

Calculated values
As for the theoretical density: 3.196 g/cm³. For the energy of formation, the calculation gives -2.015 eV/atom. As for the total energy: -5.7907 eV per atom. As for the total moment: 0.0 μB per cell.



Entry 2:
## Na3ZnInSiS2O12 (PBE-GGA)

Data for an optimized crystal structure of Na3ZnInSiS2O12.

abc: 9.101 9.101 22.604
angles: 90.31 90.31 59.89
Element x y z (fractional)
Na  0.124  0.876  0.500
Na  0.133  0.503  0.012
Na  0.150  0.159  0.423
Na  0.157  0.786  0.172
Na  0.159  0.150  0.923
Na  0.189  0.834  0.846
Na  0.198  0.476  0.330
Na  0.476  0.198  0.830
Na  0.477  0.506  0.256
Na  0.503  0.133  0.512
Na  0.506  0.477  0.756
Na  0.529  0.812  0.668
Na  0.786  0.157  0.672
Na  0.812  0.529  0.168
Na  0.828  0.833  0.589
Na  0.833  0.828  0.089
Na  0.834  0.189  0.346
Na  0.876  0.124  0.000
Zn  0.153  0.175  0.570
Zn  0.175  0.153  0.070
Zn  0.503  0.503  0.404
Zn  0.503  0.503  0.904
Zn  0.808  0.860  0.738
Zn  0.860  0.808  0.238
In  0.155  0.174  0.768
In  0.174  0.155  0.268
In  0.481  0.497  0.102
In  0.497  0.481  0.602
In  0.835  0.839  0.434
In  0.839  0.835  0.934
Si  0.141  0.826  0.336
Si  0.164  0.454  0.168
Si  0.203  0.799  0.000
Si  0.454  0.164  0.668
Si  0.799  0.203  0.500
Si  0.826  0.141  0.836
S  0.121  0.537  0.835
S  0.166  0.863  0.668
S  0.199  0.497  0.501
S  0.468  0.864  0.169
S  0.497  0.199  0.001
S  0.499  0.790  0.503
S  0.537  0.121  0.335
S  0.539  0.827  0.835
S  0.790  0.499  0.003
S  0.827  0.539  0.335
S  0.863  0.166  0.168
S  0.864  0.468  0.669
O  0.010  0.140  0.831
O  0.011  0.810  0.000
O  0.017  0.840  0.674
O  0.020  0.870  0.395
O  0.024  0.649  0.497
O  0.026  0.604  0.892
O  0.028  0.645  0.784
O  0.055  0.794  0.277
O  0.136  0.364  0.110
O  0.136  0.972  0.616
O  0.140  0.010  0.331
O  0.152  0.359  0.833
O  0.169  0.994  0.008
O  0.185  0.352  0.231
O  0.192  0.340  0.508
O  0.196  0.937  0.723
O  0.271  0.539  0.554
O  0.276  0.683  0.061
O  0.291  0.525  0.838
O  0.301  0.475  0.447
O  0.311  0.707  0.941
O  0.323  0.649  0.344
O  0.329  0.485  0.169
O  0.329  0.696  0.662
O  0.340  0.192  0.008
O  0.347  0.964  0.506
O  0.352  0.185  0.731
O  0.357  0.933  0.222
O  0.359  0.152  0.333
O  0.364  0.136  0.610
O  0.367  0.987  0.833
O  0.384  0.965  0.116
O  0.473  0.706  0.452
O  0.475  0.301  0.947
O  0.485  0.329  0.669
O  0.493  0.686  0.164
O  0.511  0.681  0.839
O  0.520  0.696  0.560
O  0.525  0.291  0.338
O  0.539  0.271  0.054
O  0.604  0.026  0.392
O  0.622  0.850  0.888
O  0.636  0.849  0.176
O  0.637  0.806  0.781
O  0.645  0.028  0.284
O  0.646  0.989  0.671
O  0.649  0.024  0.997
O  0.649  0.323  0.844
O  0.654  0.808  0.498
O  0.681  0.511  0.339
O  0.683  0.276  0.561
O  0.686  0.493  0.664
O  0.696  0.329  0.162
O  0.696  0.520  0.060
O  0.706  0.473  0.952
O  0.707  0.311  0.441
O  0.794  0.055  0.777
O  0.806  0.637  0.281
O  0.808  0.654  0.998
O  0.810  0.011  0.500
O  0.840  0.017  0.174
O  0.849  0.636  0.676
O  0.850  0.622  0.388
O  0.870  0.020  0.895
O  0.933  0.357  0.722
O  0.937  0.196  0.223
O  0.964  0.347  0.006
O  0.965  0.384  0.616
O  0.972  0.136  0.116
O  0.987  0.367  0.333
O  0.989  0.646  0.171
O  0.994  0.169  0.508

Calculated values
As for the theoretical density: 3.281 g/cm³. For the energy of formation, the calculation gives -2.165 eV/atom. As for the total energy: -5.8053 eV per atom. As for the total moment: 0.0 μB per cell.



Entry 3:
## Na3Zr3InSi3S3O24 (PBE-GGA)

Data for an optimized crystal structure of Na3Zr3InSi3S3O24.

abc: 9.039 9.042 23.446
angles: 89.76 89.95 60.47
Element x y z (fractional)
Na  0.000  0.000  0.000
Na  0.007  0.003  0.503
Na  0.339  0.360  0.664
Na  0.360  0.336  0.170
Na  0.640  0.032  0.251
Na  0.674  0.699  0.337
Na  0.693  0.674  0.836
Na  0.712  0.347  0.423
Na  0.977  0.362  0.913
Zr  0.007  0.020  0.854
Zr  0.007  0.028  0.149
Zr  0.011  0.031  0.644
Zr  0.016  0.023  0.351
Zr  0.344  0.364  0.814
Zr  0.364  0.348  0.522
Zr  0.368  0.347  0.019
Zr  0.672  0.692  0.187
Zr  0.708  0.660  0.684
In  0.361  0.335  0.314
In  0.693  0.689  0.980
In  0.699  0.692  0.486
Si  0.026  0.306  0.751
Si  0.063  0.642  0.918
Si  0.307  0.020  0.249
Si  0.644  0.356  0.916
Si  0.648  0.047  0.415
Si  0.686  0.976  0.083
Si  0.687  0.395  0.579
Si  0.723  0.316  0.251
Si  0.988  0.681  0.583
S  0.022  0.724  0.249
S  0.062  0.350  0.415
S  0.310  0.731  0.749
S  0.351  0.642  0.416
S  0.352  0.061  0.915
S  0.391  0.686  0.083
S  0.395  0.973  0.584
S  0.724  0.017  0.749
S  0.980  0.390  0.083
O  0.002  0.216  0.090
O  0.003  0.215  0.809
O  0.018  0.843  0.596
O  0.042  0.188  0.697
O  0.045  0.804  0.198
O  0.049  0.190  0.411
O  0.050  0.828  0.910
O  0.137  0.378  0.363
O  0.151  0.375  0.079
O  0.155  0.519  0.862
O  0.162  0.333  0.466
O  0.170  0.556  0.257
O  0.171  0.506  0.576
O  0.180  0.543  0.974
O  0.192  0.051  0.910
O  0.196  0.029  0.193
O  0.197  0.325  0.755
O  0.199  0.813  0.411
O  0.206  0.808  0.698
O  0.219  0.989  0.306
O  0.221  0.835  0.090
O  0.221  0.995  0.591
O  0.225  0.831  0.801
O  0.325  0.166  0.967
O  0.326  0.560  0.467
O  0.328  0.188  0.251
O  0.332  0.555  0.755
O  0.372  0.539  0.364
O  0.374  0.144  0.864
O  0.374  0.529  0.079
O  0.375  0.147  0.578
O  0.463  0.873  0.532
O  0.469  0.709  0.031
O  0.479  0.717  0.745
O  0.500  0.660  0.134
O  0.500  0.890  0.920
O  0.501  0.894  0.635
O  0.503  0.853  0.244
O  0.509  0.653  0.421
O  0.513  0.165  0.078
O  0.519  0.369  0.577
O  0.532  0.370  0.860
O  0.537  0.332  0.253
O  0.549  0.181  0.468
O  0.551  0.126  0.355
O  0.558  0.172  0.755
O  0.559  0.320  0.972
O  0.660  0.514  0.635
O  0.665  0.860  0.421
O  0.667  0.884  0.141
O  0.669  0.522  0.922
O  0.703  0.866  0.744
O  0.710  0.472  0.519
O  0.714  0.863  0.027
O  0.718  0.497  0.242
O  0.809  0.038  0.698
O  0.818  0.185  0.197
O  0.832  0.990  0.801
O  0.838  0.040  0.412
O  0.838  0.188  0.910
O  0.838  0.223  0.309
O  0.852  0.494  0.746
O  0.855  0.205  0.588
O  0.857  0.997  0.090
O  0.862  0.714  0.244
O  0.874  0.731  0.526
O  0.878  0.653  0.919
O  0.882  0.457  0.029
O  0.884  0.493  0.419
O  0.890  0.656  0.639
O  0.891  0.498  0.132
O  0.990  0.835  0.300

Calculated values
As for the theoretical density: 3.053 g/cm³. For the energy of formation, the calculation gives -2.729 eV/atom. As for the total energy: -7.1427 eV per atom. As for the total moment: 0.0 μB per cell.